Entry from Materials Project: a geometry-optimized Na14Ca6Si5Ge2S7O48 structure (PBE).

Output
As for the symmetry: P1, No. 1. The formation energy is -2454 meV/atom.

a b c (Å): 9.398 16.214 23.027
angles (deg): 89.35 89.97 89.87
Fractional positions:
Na (0.000, 0.000, 0.000)
Na (0.002, 0.037, 0.338)
Na (0.008, 0.656, 0.345)
Na (0.010, 0.349, 0.008)
Na (0.122, 0.154, 0.846)
Na (0.122, 0.851, 0.507)
Na (0.128, 0.500, 0.495)
Na (0.133, 0.538, 0.850)
Na (0.142, 0.837, 0.166)
Na (0.161, 0.184, 0.508)
Na (0.191, 0.858, 0.848)
Na (0.303, 0.007, 0.924)
Na (0.308, 0.012, 0.429)
Na (0.309, 0.349, 0.586)
Na (0.310, 0.676, 0.253)
Na (0.314, 0.346, 0.089)
Na (0.324, 0.702, 0.756)
Na (0.444, 0.849, 0.339)
Na (0.451, 0.186, 0.017)
Na (0.464, 0.516, 0.668)
Na (0.483, 0.496, 0.016)
Na (0.488, 0.868, 0.001)
Na (0.494, 0.524, 0.341)
Na (0.505, 0.175, 0.334)
Na (0.511, 0.204, 0.669)
Na (0.621, 0.708, 0.170)
Na (0.629, 0.678, 0.837)
Na (0.639, 0.023, 0.844)
Na (0.645, 0.362, 0.496)
Na (0.650, 0.996, 0.514)
Na (0.681, 0.691, 0.514)
Na (0.686, 0.016, 0.168)
Na (0.688, 0.347, 0.842)
Na (0.818, 0.190, 0.250)
Na (0.820, 0.847, 0.587)
Na (0.821, 0.173, 0.753)
Na (0.823, 0.514, 0.932)
Na (0.828, 0.857, 0.092)
Na (0.831, 0.507, 0.418)
Na (0.940, 0.357, 0.346)
Na (0.971, 0.686, 0.010)
Na (0.981, 0.328, 0.665)
Ca (0.301, 0.682, 0.414)
Ca (0.308, 0.690, 0.913)
Ca (0.309, 0.679, 0.105)
Ca (0.310, 0.017, 0.266)
Ca (0.311, 0.352, 0.438)
Ca (0.313, 0.013, 0.772)
Ca (0.314, 0.690, 0.606)
Ca (0.316, 0.347, 0.944)
Ca (0.325, 0.352, 0.736)
Ca (0.812, 0.855, 0.234)
Ca (0.816, 0.516, 0.768)
Ca (0.816, 0.848, 0.443)
Ca (0.817, 0.513, 0.272)
Ca (0.820, 0.186, 0.107)
Ca (0.820, 0.852, 0.938)
Ca (0.823, 0.180, 0.605)
Ca (0.825, 0.189, 0.412)
Ca (0.830, 0.182, 0.915)
Si (0.004, 0.673, 0.511)
Si (0.013, 0.016, 0.175)
Si (0.129, 0.173, 0.010)
Si (0.158, 0.531, 0.006)
Si (0.164, 0.839, 0.009)
Si (0.169, 0.501, 0.339)
Si (0.460, 0.871, 0.170)
Si (0.464, 0.836, 0.505)
Si (0.518, 0.848, 0.841)
Si (0.614, 0.348, 0.341)
Si (0.669, 0.336, 0.006)
Si (0.670, 0.370, 0.671)
Si (0.963, 0.002, 0.840)
Si (0.969, 0.338, 0.512)
Si (0.974, 0.031, 0.506)
Ge (0.280, 0.001, 0.075)
Ge (0.292, 0.995, 0.568)
Ge (0.343, 0.367, 0.249)
Ge (0.787, 0.872, 0.749)
Ge (0.824, 0.506, 0.570)
Ge (0.843, 0.495, 0.069)
S (0.018, 0.351, 0.838)
S (0.112, 0.515, 0.672)
S (0.116, 0.850, 0.339)
S (0.156, 0.866, 0.674)
S (0.170, 0.167, 0.673)
S (0.172, 0.203, 0.338)
S (0.460, 0.169, 0.173)
S (0.466, 0.501, 0.839)
S (0.468, 0.201, 0.839)
S (0.476, 0.532, 0.511)
S (0.511, 0.180, 0.508)
S (0.517, 0.512, 0.174)
S (0.615, 0.013, 0.674)
S (0.621, 0.679, 0.008)
S (0.658, 0.032, 0.008)
S (0.664, 0.001, 0.340)
S (0.664, 0.701, 0.339)
S (0.669, 0.666, 0.672)
S (0.960, 0.664, 0.172)
S (0.962, 0.702, 0.837)
S (0.976, 0.368, 0.173)
O (0.012, 0.196, 0.057)
O (0.014, 0.178, 0.672)
O (0.014, 0.194, 0.339)
O (0.016, 0.507, 0.620)
O (0.026, 0.843, 0.287)
O (0.027, 0.857, 0.392)
O (0.031, 0.526, 0.726)
O (0.048, 0.149, 0.950)
O (0.083, 0.645, 0.450)
O (0.097, 0.026, 0.235)
O (0.106, 0.344, 0.785)
O (0.107, 0.358, 0.890)
O (0.116, 0.676, 0.170)
O (0.117, 0.692, 0.560)
O (0.121, 0.692, 0.839)
O (0.126, 0.004, 0.118)
O (0.132, 0.362, 0.174)
O (0.133, 0.012, 0.831)
O (0.141, 0.352, 0.509)
O (0.156, 0.026, 0.518)
O (0.157, 0.585, 0.945)
O (0.187, 0.915, 0.617)
O (0.189, 0.781, 0.067)
O (0.190, 0.448, 0.398)
O (0.194, 0.436, 0.674)
O (0.205, 0.258, 0.288)
O (0.208, 0.121, 0.726)
O (0.208, 0.774, 0.342)
O (0.208, 0.925, 0.337)
O (0.211, 0.436, 0.002)
O (0.215, 0.583, 0.666)
O (0.215, 0.910, 0.723)
O (0.225, 0.237, 0.393)
O (0.226, 0.786, 0.671)
O (0.228, 0.127, 0.620)
O (0.235, 0.087, 0.025)
O (0.236, 0.251, 0.004)
O (0.239, 0.120, 0.333)
O (0.239, 0.251, 0.674)
O (0.240, 0.806, 0.950)
O (0.244, 0.575, 0.056)
O (0.246, 0.931, 0.016)
O (0.254, 0.448, 0.283)
O (0.254, 0.588, 0.335)
O (0.381, 0.930, 0.516)
O (0.383, 0.808, 0.446)
O (0.391, 0.254, 0.176)
O (0.393, 0.777, 0.167)
O (0.398, 0.583, 0.844)
O (0.401, 0.127, 0.122)
O (0.401, 0.906, 0.231)
O (0.403, 0.117, 0.834)
O (0.406, 0.240, 0.890)
O (0.409, 0.462, 0.786)
O (0.412, 0.938, 0.113)
O (0.415, 0.571, 0.562)
O (0.417, 0.254, 0.503)
O (0.417, 0.447, 0.506)
O (0.420, 0.104, 0.512)
O (0.423, 0.434, 0.181)
O (0.424, 0.764, 0.836)
O (0.425, 0.931, 0.833)
O (0.429, 0.587, 0.170)
O (0.432, 0.122, 0.228)
O (0.437, 0.449, 0.890)
O (0.439, 0.251, 0.785)
O (0.440, 0.772, 0.557)
O (0.447, 0.581, 0.457)
O (0.495, 0.369, 0.666)
O (0.496, 0.332, 0.285)
O (0.500, 0.026, 0.012)
O (0.501, 0.357, 0.003)
O (0.506, 0.012, 0.337)
O (0.507, 0.693, 0.344)
O (0.510, 0.667, 0.669)
O (0.523, 0.359, 0.400)
O (0.526, 0.022, 0.726)
O (0.531, 0.690, 0.059)
O (0.533, 0.000, 0.621)
O (0.533, 0.668, 0.955)
O (0.599, 0.190, 0.560)
O (0.601, 0.170, 0.456)
O (0.601, 0.499, 0.120)
O (0.606, 0.521, 0.226)
O (0.610, 0.858, 0.899)
O (0.617, 0.174, 0.169)
O (0.624, 0.511, 0.835)
O (0.625, 0.193, 0.844)
O (0.632, 0.856, 0.502)
O (0.634, 0.866, 0.165)
O (0.637, 0.526, 0.514)
O (0.637, 0.833, 0.783)
O (0.689, 0.081, 0.955)
O (0.693, 0.950, 0.392)
O (0.695, 0.751, 0.286)
O (0.696, 0.272, 0.057)
O (0.700, 0.618, 0.726)
O (0.703, 0.088, 0.670)
O (0.707, 0.431, 0.333)
O (0.709, 0.264, 0.336)
O (0.710, 0.934, 0.681)
O (0.712, 0.603, 0.013)
O (0.715, 0.440, 0.614)
O (0.715, 0.752, 0.002)
O (0.720, 0.072, 0.059)
O (0.721, 0.948, 0.005)
O (0.721, 0.961, 0.288)
O (0.726, 0.739, 0.391)
O (0.727, 0.622, 0.620)
O (0.729, 0.617, 0.334)
O (0.732, 0.409, 0.729)
O (0.732, 0.749, 0.674)
O (0.733, 0.083, 0.345)
O (0.733, 0.277, 0.667)
O (0.748, 0.312, 0.945)
O (0.752, 0.432, 0.018)
O (0.877, 0.951, 0.783)
O (0.879, 0.090, 0.835)
O (0.885, 0.432, 0.518)
O (0.888, 0.074, 0.558)
O (0.889, 0.746, 0.174)
O (0.892, 0.306, 0.453)
O (0.894, 0.588, 0.525)
O (0.898, 0.617, 0.832)
O (0.898, 0.752, 0.504)
O (0.900, 0.090, 0.170)
O (0.902, 0.622, 0.119)
O (0.906, 0.288, 0.169)
O (0.906, 0.735, 0.892)
O (0.917, 0.411, 0.223)
O (0.920, 0.937, 0.502)
O (0.925, 0.276, 0.841)
O (0.926, 0.617, 0.225)
O (0.927, 0.427, 0.836)
O (0.928, 0.756, 0.787)
O (0.930, 0.928, 0.170)
O (0.942, 0.282, 0.569)
O (0.942, 0.947, 0.897)
O (0.946, 0.419, 0.116)
O (0.974, 0.087, 0.446)
O (0.976, 0.527, 0.018)
O (0.991, 0.850, 0.008)
O (0.999, 0.511, 0.331)
O (0.999, 0.861, 0.675)


Entry from Materials Project: a geometry-optimized Na6Ca4Si3Ge4S9O48 structure (PBE).

Output
As for the symmetry: P1, No. 1. The formation energy is -2283 meV/atom.

a b c (Å): 8.886 15.399 22.778
angles (deg): 90.65 90.15 90.06
Fractional positions:
Na (0.000, 0.000, 0.000)
Na (0.004, 0.362, 0.680)
Na (0.010, 0.702, 0.841)
Na (0.015, 0.692, 0.334)
Na (0.042, 0.384, 0.178)
Na (0.120, 0.201, 0.597)
Na (0.394, 0.703, 0.099)
Na (0.483, 0.881, 0.681)
Na (0.495, 0.861, 0.173)
Na (0.504, 0.191, 0.837)
Na (0.510, 0.202, 0.336)
Na (0.525, 0.513, 0.492)
Na (0.539, 0.542, 0.000)
Na (0.640, 0.697, 0.590)
Na (0.669, 0.375, 0.925)
Na (0.859, 0.872, 0.420)
Na (0.885, 0.198, 0.091)
Na (0.984, 0.036, 0.497)
Ca (0.010, 0.040, 0.348)
Ca (0.015, 0.370, 0.027)
Ca (0.018, 0.693, 0.481)
Ca (0.021, 0.012, 0.155)
Ca (0.027, 0.030, 0.665)
Ca (0.496, 0.530, 0.165)
Ca (0.503, 0.193, 0.982)
Ca (0.504, 0.524, 0.661)
Ca (0.506, 0.868, 0.526)
Ca (0.513, 0.541, 0.849)
Ca (0.523, 0.877, 0.026)
Ca (0.991, 0.378, 0.522)
Si (0.148, 0.837, 0.082)
Si (0.150, 0.188, 0.757)
Si (0.182, 0.878, 0.754)
Si (0.339, 0.377, 0.254)
Si (0.369, 0.686, 0.258)
Si (0.655, 0.013, 0.422)
Si (0.713, 0.376, 0.417)
Si (0.803, 0.877, 0.916)
Si (0.871, 0.518, 0.924)
Ge (0.001, 0.366, 0.320)
Ge (0.020, 0.370, 0.827)
Ge (0.020, 0.707, 0.695)
Ge (0.028, 0.019, 0.846)
Ge (0.047, 0.703, 0.191)
Ge (0.493, 0.194, 0.697)
Ge (0.498, 0.519, 0.344)
Ge (0.501, 0.207, 0.194)
Ge (0.504, 0.859, 0.827)
Ge (0.504, 0.869, 0.323)
Ge (0.533, 0.205, 0.472)
Ge (0.979, 0.714, 0.977)
S (0.148, 0.560, 0.092)
S (0.170, 0.221, 0.427)
S (0.170, 0.510, 0.414)
S (0.182, 0.533, 0.754)
S (0.211, 0.867, 0.418)
S (0.219, 0.200, 0.097)
S (0.301, 0.699, 0.596)
S (0.312, 0.366, 0.918)
S (0.339, 0.034, 0.255)
S (0.352, 0.012, 0.914)
S (0.353, 0.721, 0.923)
S (0.373, 0.066, 0.589)
S (0.378, 0.333, 0.588)
S (0.646, 0.060, 0.100)
S (0.648, 0.714, 0.419)
S (0.653, 0.343, 0.092)
S (0.669, 0.368, 0.756)
S (0.675, 0.695, 0.749)
S (0.701, 0.033, 0.755)
S (0.736, 0.695, 0.089)
S (0.781, 0.197, 0.587)
S (0.816, 0.532, 0.258)
S (0.847, 0.195, 0.250)
S (0.849, 0.866, 0.258)
S (0.868, 0.842, 0.593)
S (0.873, 0.215, 0.918)
S (0.874, 0.557, 0.598)
O (0.062, 0.928, 0.081)
O (0.079, 0.611, 0.748)
O (0.082, 0.167, 0.693)
O (0.083, 0.781, 0.024)
O (0.085, 0.453, 0.760)
O (0.087, 0.471, 0.095)
O (0.087, 0.924, 0.808)
O (0.089, 0.286, 0.776)
O (0.096, 0.598, 0.153)
O (0.096, 0.609, 0.042)
O (0.100, 0.779, 0.748)
O (0.103, 0.460, 0.364)
O (0.103, 0.598, 0.411)
O (0.109, 0.790, 0.413)
O (0.112, 0.110, 0.806)
O (0.113, 0.132, 0.420)
O (0.114, 0.258, 0.483)
O (0.115, 0.784, 0.147)
O (0.116, 0.945, 0.416)
O (0.121, 0.123, 0.098)
O (0.123, 0.279, 0.100)
O (0.134, 0.274, 0.375)
O (0.146, 0.470, 0.471)
O (0.161, 0.357, 0.273)
O (0.177, 0.693, 0.253)
O (0.183, 0.019, 0.908)
O (0.186, 0.931, 0.695)
O (0.188, 0.719, 0.920)
O (0.204, 0.699, 0.651)
O (0.206, 0.062, 0.589)
O (0.211, 0.697, 0.543)
O (0.212, 0.340, 0.587)
O (0.214, 0.361, 0.864)
O (0.224, 0.365, 0.972)
O (0.248, 0.022, 0.202)
O (0.251, 0.048, 0.308)
O (0.270, 0.521, 0.700)
O (0.275, 0.548, 0.806)
O (0.295, 0.866, 0.473)
O (0.309, 0.198, 0.043)
O (0.310, 0.862, 0.365)
O (0.316, 0.559, 0.091)
O (0.317, 0.202, 0.151)
O (0.330, 0.840, 0.085)
O (0.336, 0.430, 0.195)
O (0.338, 0.517, 0.407)
O (0.342, 0.196, 0.751)
O (0.343, 0.219, 0.428)
O (0.362, 0.858, 0.772)
O (0.378, 0.970, 0.970)
O (0.395, 0.774, 0.868)
O (0.398, 0.620, 0.597)
O (0.399, 0.776, 0.600)
O (0.406, 0.445, 0.916)
O (0.407, 0.609, 0.308)
O (0.410, 0.284, 0.644)
O (0.413, 0.289, 0.913)
O (0.413, 0.762, 0.976)
O (0.414, 0.962, 0.863)
O (0.418, 0.099, 0.911)
O (0.418, 0.118, 0.539)
O (0.418, 0.634, 0.917)
O (0.422, 0.278, 0.248)
O (0.423, 0.104, 0.649)
O (0.426, 0.785, 0.277)
O (0.435, 0.289, 0.534)
O (0.435, 0.952, 0.260)
O (0.436, 0.422, 0.308)
O (0.438, 0.665, 0.195)
O (0.441, 0.979, 0.590)
O (0.444, 0.111, 0.249)
O (0.449, 0.420, 0.590)
O (0.566, 0.110, 0.427)
O (0.576, 0.961, 0.362)
O (0.577, 0.974, 0.103)
O (0.580, 0.629, 0.408)
O (0.585, 0.111, 0.152)
O (0.587, 0.429, 0.097)
O (0.596, 0.960, 0.765)
O (0.598, 0.403, 0.810)
O (0.599, 0.743, 0.478)
O (0.601, 0.277, 0.747)
O (0.603, 0.116, 0.749)
O (0.604, 0.460, 0.400)
O (0.605, 0.286, 0.144)
O (0.608, 0.302, 0.036)
O (0.609, 0.781, 0.374)
O (0.609, 0.782, 0.757)
O (0.610, 0.284, 0.423)
O (0.611, 0.105, 0.045)
O (0.614, 0.656, 0.694)
O (0.634, 0.618, 0.089)
O (0.642, 0.421, 0.704)
O (0.642, 0.952, 0.478)
O (0.644, 0.775, 0.090)
O (0.649, 0.639, 0.800)
O (0.678, 0.206, 0.245)
O (0.681, 0.857, 0.266)
O (0.682, 0.855, 0.861)
O (0.683, 0.203, 0.639)
O (0.694, 0.530, 0.911)
O (0.696, 0.194, 0.529)
O (0.701, 0.843, 0.598)
O (0.705, 0.211, 0.916)
O (0.707, 0.550, 0.601)
O (0.713, 0.545, 0.309)
O (0.728, 0.903, 0.977)
O (0.735, 0.511, 0.204)
O (0.782, 0.018, 0.700)
O (0.782, 0.403, 0.479)
O (0.800, 0.051, 0.806)
O (0.811, 0.057, 0.104)
O (0.814, 0.687, 0.029)
O (0.816, 0.710, 0.417)
O (0.820, 0.343, 0.098)
O (0.832, 0.028, 0.412)
O (0.834, 0.357, 0.764)
O (0.838, 0.696, 0.140)
O (0.839, 0.352, 0.364)
O (0.845, 0.705, 0.745)
O (0.872, 0.142, 0.302)
O (0.875, 0.922, 0.208)
O (0.877, 0.118, 0.587)
O (0.880, 0.275, 0.588)
O (0.880, 0.451, 0.977)
O (0.904, 0.785, 0.920)
O (0.908, 0.283, 0.872)
O (0.908, 0.602, 0.544)
O (0.911, 0.156, 0.196)
O (0.912, 0.609, 0.254)
O (0.912, 0.801, 0.537)
O (0.913, 0.284, 0.258)
O (0.913, 0.776, 0.249)
O (0.914, 0.962, 0.899)
O (0.916, 0.785, 0.644)
O (0.917, 0.902, 0.313)
O (0.920, 0.454, 0.269)
O (0.923, 0.245, 0.977)
O (0.927, 0.609, 0.651)
O (0.935, 0.928, 0.597)
O (0.942, 0.131, 0.906)
O (0.946, 0.472, 0.602)
O (0.950, 0.466, 0.863)
O (0.958, 0.615, 0.932)


Question: Among the records above, which one has the highest formation energy?
Answer: Na6Ca4Si3Ge4S9O48